A plane-wave DFT calculation with PBE was carried out for an optimized crystal structure of Th3Pt5.

Properties
- energy (eV per atom) = -7.809
- ΔH_f (0 K) (kJ/mol of atoms) = -119.1

Cell lengths 7.2786, 7.2786, 3.8867 Å; angles 90.00, 90.00, 120.00 degrees
Space group P-62m (No. 189)
Symmetry-distinct sites (fractional):
Th: 0.0000 0.6412 0.0000 [3 per cell]
Pt: 0.0000 0.2285 0.5000 [3 per cell]
Pt: 0.3333 0.6667 0.5000 [2 per cell]



A plane-wave DFT calculation with PBE was carried out for an optimized crystal structure of K3Cd.

Properties
- energy (eV per atom) = -1.035
- ΔH_f (0 K) (kJ/mol of atoms) = 2.7

Cell lengths 9.3702, 9.3702, 9.3702 Å; angles 90.00, 90.00, 90.00 degrees
Space group Fm-3m (No. 225)
Symmetry-distinct sites (fractional):
K: 0.0000 0.0000 0.0000 [4 per cell]
K: 0.2500 0.2500 0.2500 [8 per cell]
Cd: 0.0000 0.0000 0.5000 [4 per cell]



A plane-wave DFT calculation with PBE was carried out for an optimized crystal structure of ErAlFe.

Properties
- energy (eV per atom) = -5.915
- ΔH_f (0 K) (kJ/mol of atoms) = -30.9

Cell lengths 8.6745, 5.3678, 9.1174 Å; angles 90.00, 90.00, 90.00 degrees
Space group Amm2 (No. 38)
Symmetry-distinct sites (fractional):
Er: 0.1759 0.0000 0.0000 [4 per cell]
Er: 0.3036 0.0000 0.3358 [4 per cell]
Al: 0.2360 0.0000 0.6745 [4 per cell]
Al: 0.5000 0.2474 0.0820 [4 per cell]
Fe: 0.0000 0.0000 0.4963 [2 per cell]
Fe: 0.0000 0.2340 0.2565 [4 per cell]
Fe: 0.5000 0.0000 0.8363 [2 per cell]



A plane-wave DFT calculation with PBE was carried out for an optimized crystal structure of UH12C2S2N6O13.

Properties
- energy (eV per atom) = -6.033
- ΔH_f (0 K) (kJ/mol of atoms) = -88.6
- total magnetization (Bohr magnetons per cell) = 24.1

Cell lengths 11.2177, 8.1271, 18.6307 Å; angles 90.00, 100.14, 90.00 degrees
Space group C2/c (No. 15)
Symmetry-distinct sites (fractional):
U: 0.0000 0.2131 0.2500 [4 per cell]
H: 0.0760 0.3526 0.4995 [8 per cell]
H: 0.1183 0.1338 0.9684 [8 per cell]
H: 0.1319 0.4859 0.6078 [8 per cell]
H: 0.1589 0.3706 0.4293 [8 per cell]
H: 0.1711 0.0354 0.0540 [8 per cell]
H: 0.2441 0.1201 0.8771 [8 per cell]
C: 0.2221 0.4941 0.0225 [8 per cell]
S: 0.2190 0.4572 0.7954 [8 per cell]
N: 0.1422 0.4100 0.4785 [8 per cell]
N: 0.1803 0.0622 0.0015 [8 per cell]
N: 0.1992 0.4549 0.0881 [8 per cell]
O: 0.0000 0.0735 0.7500 [4 per cell]
O: 0.0079 0.2715 0.5932 [8 per cell]
O: 0.0269 0.2111 0.3494 [8 per cell]
O: 0.1249 0.4465 0.2456 [8 per cell]
O: 0.1649 0.3098 0.8234 [8 per cell]
O: 0.1936 0.1014 0.2527 [8 per cell]
O: 0.2180 0.0614 0.6453 [8 per cell]



A plane-wave DFT calculation with PBE was carried out for an optimized crystal structure of Te3MoWS.

Properties
- energy (eV per atom) = -6.494
- ΔH_f (0 K) (kJ/mol of atoms) = -33.7
- total magnetization (Bohr magnetons per cell) = 0.0

Cell lengths 3.4591, 3.4591, 39.3243 Å; angles 90.00, 90.00, 120.00 degrees
Space group P3m1 (No. 156)
Symmetry-distinct sites (fractional):
Te: 0.0000 0.0000 0.0000 [1 per cell]
Te: 0.0000 0.0000 0.0940 [1 per cell]
Te: 0.0000 0.0000 0.3752 [1 per cell]
Te: 0.0000 0.0000 0.4697 [1 per cell]
Te: 0.6667 0.3333 0.5635 [1 per cell]
Te: 0.6667 0.3333 0.6580 [1 per cell]
Mo: 0.0000 0.0000 0.2348 [1 per cell]
Mo: 0.6667 0.3333 0.0469 [1 per cell]
W: 0.0000 0.0000 0.6107 [1 per cell]
W: 0.6667 0.3333 0.4225 [1 per cell]
S: 0.6667 0.3333 0.1970 [1 per cell]
S: 0.6667 0.3333 0.2726 [1 per cell]



A plane-wave DFT calculation with PBE was carried out for an optimized crystal structure of Cs2ZnSi5O12.

Properties
- energy (eV per atom) = -7.065
- ΔH_f (0 K) (kJ/mol of atoms) = -289.4
- total magnetization (Bohr magnetons per cell) = 0.0

Cell lengths 13.8713, 13.8840, 13.9978 Å; angles 90.00, 90.00, 90.00 degrees
Space group Pbca (No. 61)
Symmetry-distinct sites (fractional):
Cs: 0.1216 0.1059 0.1085 [8 per cell]
Cs: 0.1269 0.6443 0.8594 [8 per cell]
Zn: 0.1204 0.6649 0.5742 [8 per cell]
Si: 0.0852 0.6173 0.1483 [8 per cell]
Si: 0.0930 0.1366 0.8161 [8 per cell]
Si: 0.1285 0.1624 0.4018 [8 per cell]
Si: 0.1568 0.0970 0.6120 [8 per cell]
Si: 0.1637 0.5756 0.3579 [8 per cell]
O: 0.0190 0.6242 0.6632 [8 per cell]
O: 0.0343 0.1250 0.3421 [8 per cell]
O: 0.1000 0.6179 0.4432 [8 per cell]
O: 0.1020 0.5075 0.1087 [8 per cell]
O: 0.1106 0.1602 0.7014 [8 per cell]
O: 0.1144 0.1559 0.5173 [8 per cell]
O: 0.1282 0.6264 0.2575 [8 per cell]
O: 0.1329 0.6946 0.0779 [8 per cell]
O: 0.1480 0.2242 0.8761 [8 per cell]
O: 0.1592 0.0425 0.8465 [8 per cell]
O: 0.2187 0.0958 0.3667 [8 per cell]
O: 0.2293 0.5865 0.6181 [8 per cell]